Entry from the Materials Project: crystalline K2H3IrNCl5 at its relaxed geometry (PBE).

## Properties
- ΔH_f (0 K): -1.27 eV/atom

Unit cell a=7.041 b=10.152 c=13.803 alpha=90.00 beta=90.00 gamma=90.00
Fractional coordinates of all 48 atoms:
Cl (0.817, 0.517, 0.111)
H (0.578, 0.750, 0.432)
Cl (0.893, 0.750, 0.754)
N (0.005, 0.250, 0.003)
Cl (0.548, 0.750, 0.007)
H (0.419, 0.832, 0.496)
Cl (0.183, 0.483, 0.889)
H (0.919, 0.168, 0.004)
Cl (0.817, 0.983, 0.111)
Cl (0.317, 0.017, 0.389)
K (0.369, 0.499, 0.153)
N (0.505, 0.750, 0.497)
Cl (0.952, 0.750, 0.507)
Cl (0.452, 0.250, 0.993)
Ir (0.814, 0.750, 0.114)
H (0.581, 0.332, 0.504)
Cl (0.107, 0.250, 0.246)
H (0.581, 0.168, 0.504)
Cl (0.085, 0.750, 0.215)
Cl (0.048, 0.250, 0.493)
Cl (0.317, 0.483, 0.389)
Cl (0.393, 0.250, 0.746)
Cl (0.183, 0.017, 0.889)
Cl (0.915, 0.250, 0.785)
Ir (0.186, 0.250, 0.886)
K (0.131, 0.001, 0.653)
Ir (0.686, 0.750, 0.614)
H (0.422, 0.250, 0.568)
H (0.081, 0.668, 0.996)
H (0.081, 0.832, 0.996)
N (0.495, 0.250, 0.503)
K (0.369, 0.001, 0.153)
K (0.869, 0.501, 0.347)
Cl (0.683, 0.517, 0.611)
N (0.995, 0.750, 0.997)
K (0.631, 0.501, 0.847)
H (0.419, 0.668, 0.496)
K (0.131, 0.499, 0.653)
Cl (0.607, 0.750, 0.254)
Ir (0.314, 0.250, 0.386)
H (0.919, 0.332, 0.004)
Cl (0.415, 0.750, 0.715)
Cl (0.683, 0.983, 0.611)
Cl (0.585, 0.250, 0.285)
K (0.869, 0.999, 0.347)
H (0.078, 0.250, 0.068)
K (0.631, 0.999, 0.847)
H (0.922, 0.750, 0.932)